First-principles (PBE with a Hubbard U) data for crystalline LiCrP3O9 at its relaxed geometry, as listed in the Materials Project.

The structure in extended XYZ format:
```
56
Lattice="8.413 0.000 0.000 0.000 8.756 0.000 0.000 0.000 9.067" Properties=species:S:1:pos:R:3 pbc="T T T"
Li 1.301 1.169 3.466
Li 2.905 7.586 7.999
Li 5.508 3.209 5.601
Li 7.111 5.547 1.068
Cr 1.089 7.477 1.470
Cr 3.118 1.278 6.003
Cr 5.295 5.656 7.597
Cr 7.324 3.100 3.064
P 0.245 2.818 6.215
P 1.568 4.185 1.712
P 1.689 7.073 5.122
P 2.517 1.683 0.588
P 2.639 4.571 6.245
P 3.961 5.938 1.681
P 4.452 1.560 2.852
P 5.774 0.193 7.355
P 5.896 6.061 3.945
P 6.723 2.695 8.479
P 6.845 8.563 2.822
P 8.167 7.195 7.386
O 0.315 6.772 5.944
O 0.747 5.334 1.201
O 0.871 7.641 8.272
O 0.997 3.375 2.862
O 1.130 1.714 5.669
O 1.178 4.062 6.677
O 1.339 7.517 3.743
O 1.597 0.834 1.434
O 1.919 3.191 0.489
O 2.288 5.564 5.023
O 2.609 7.921 5.968
O 2.867 1.238 8.276
O 3.028 4.694 2.144
O 3.077 7.041 1.136
O 3.210 5.380 7.396
O 3.335 1.114 3.739
O 3.459 3.421 5.735
O 3.891 1.983 1.410
O 4.521 6.361 3.123
O 4.953 7.799 7.865
O 5.078 5.492 0.795
O 5.203 1.002 6.204
O 5.336 2.664 3.397
O 5.384 0.316 2.390
O 5.546 5.616 5.324
O 5.804 3.544 7.632
O 6.125 1.187 8.578
O 6.494 7.569 4.044
O 6.815 5.212 3.099
O 7.074 3.139 0.791
O 7.235 8.439 6.923
O 7.283 6.092 7.931
O 7.416 7.753 1.671
O 7.541 3.263 5.328
O 7.666 0.957 3.332
O 8.098 2.394 7.657
```

Computed properties:
For the total energy, the calculation gives -7.179 eV per atom. Its space-group type is P2_12_12_1, No. 19. The energy above the most stable polymorph in this dataset is 0.065 eV per formula unit. The formation energy comes out at -2.597 eV per atom.


First-principles (PBE with a Hubbard U) data for crystalline CrHSe3O8 at its relaxed geometry, as listed in the Materials Project.

The structure in extended XYZ format:
```
52
Lattice="7.635 0.000 0.000 0.000 12.162 0.000 -7.075 0.000 8.109" Properties=species:S:1:pos:R:3 pbc="T T T"
Cr 0.982 2.125 1.009
Cr -2.555 3.956 5.063
Cr 3.115 8.206 3.045
Cr -0.422 10.037 7.099
H -3.631 2.200 6.868
H -0.094 3.881 2.814
H 0.654 8.281 5.295
H 4.192 9.962 1.241
Se 0.506 7.614 0.646
Se -3.031 10.629 4.700
Se -1.696 6.647 3.316
Se -5.233 11.596 7.371
Se -0.002 1.922 4.242
Se 3.536 4.159 0.188
Se -2.975 8.003 7.920
Se 0.562 10.240 3.866
Se 5.793 0.566 0.738
Se 2.256 5.515 4.792
Se 3.591 1.533 3.409
Se 0.054 4.548 7.463
O -3.231 8.957 4.457
O 0.306 9.286 0.403
O -0.782 6.600 1.751
O -4.320 11.643 5.805
O -0.236 0.558 1.360
O -3.773 5.523 5.414
O -5.012 1.105 7.730
O -1.475 4.976 3.676
O -0.082 2.928 2.552
O -3.619 3.153 6.607
O -4.019 8.968 7.105
O -0.482 9.275 3.050
O -1.583 2.256 4.827
O 1.955 3.825 0.772
O 1.890 7.447 1.592
O -1.648 10.796 5.646
O 2.208 1.366 2.463
O -1.329 4.715 6.517
O -1.394 8.337 7.336
O 2.143 9.906 3.282
O 1.042 2.887 5.058
O 4.579 3.194 1.004
O 4.179 9.009 1.502
O 0.642 9.234 5.556
O 2.035 7.186 4.432
O 5.572 11.057 0.378
O 4.334 6.639 2.695
O 0.796 11.604 6.749
O 4.880 0.519 2.303
O 1.342 5.562 6.358
O 0.254 2.876 7.706
O 3.791 3.205 3.652
```

Computed properties:
For the total energy, the calculation gives -5.649 eV per atom. Its space-group type is P2_1/c, No. 14. The energy above the most stable polymorph in this dataset is 1.086 eV per formula unit. The formation energy comes out at -1.371 eV per atom.